No. 1
Compound: Rb3InO3
Source: Materials Project
Functional: GGA-PBE
Structure: relaxed

Structure (CIF):
```
data_Rb3InO3
_chemical_formula_sum 'Rb12 In4 O12'
_cell_length_a 7.7382
_cell_length_b 12.1149
_cell_length_c 7.0973
_cell_angle_alpha 90.00
_cell_angle_beta 100.81
_cell_angle_gamma 90.00
_symmetry_space_group_name_H-M 'C 1 2/m 1'
_symmetry_Int_Tables_number 12
loop_
_symmetry_equiv_pos_as_xyz
'x,y,z'
'-x,-y,-z'
'-x,y,-z'
'x,-y,z'
'x+1/2,y+1/2,z'
'-x+1/2,-y+1/2,-z'
'-x+1/2,y+1/2,-z'
'x+1/2,-y+1/2,z'
loop_
_atom_site_label
_atom_site_type_symbol
_atom_site_fract_x
_atom_site_fract_y
_atom_site_fract_z
_atom_site_occupancy
Rb1 Rb 0.0000 0.1942 0.0000 1
Rb2 Rb 0.0000 0.2600 0.5000 1
Rb3 Rb 0.1305 0.5000 0.8508 1
In1 In 0.1755 0.0000 0.6477 1
O1 O 0.1002 0.0000 0.3401 1
O2 O 0.1999 0.3586 0.2296 1
```

Properties
Energy with MP2020 corrections in eV/atom: -4.567
Calculated total energy in eV/atom: -4.2727
ΔE to the lowest computed polymorph in meV per atom: 9
Calculated formation energy in eV per atom: -1.6333


No. 2
Compound: GdBS3O12
Source: Materials Project
Functional: GGA-PBE
Structure: relaxed

Structure (CIF):
```
data_GdBS3O12
_chemical_formula_sum 'Gd8 B8 S24 O96'
_cell_length_a 13.7912
_cell_length_b 11.6009
_cell_length_c 11.1711
_cell_angle_alpha 90.00
_cell_angle_beta 93.35
_cell_angle_gamma 90.00
_symmetry_space_group_name_H-M 'C 1 2/c 1'
_symmetry_Int_Tables_number 15
loop_
_symmetry_equiv_pos_as_xyz
'x,y,z'
'-x,-y,-z'
'-x,y,-z+1/2'
'x,-y,z+1/2'
'x+1/2,y+1/2,z'
'-x+1/2,-y+1/2,-z'
'-x+1/2,y+1/2,-z+1/2'
'x+1/2,-y+1/2,z+1/2'
loop_
_atom_site_label
_atom_site_type_symbol
_atom_site_fract_x
_atom_site_fract_y
_atom_site_fract_z
_atom_site_occupancy
Gd1 Gd 0.1869 0.0496 0.1545 1
B1 B 0.0009 0.3299 0.9725 1
S1 S 0.0770 0.1487 0.4196 1
S2 S 0.1281 0.4883 0.0763 1
S3 S 0.1389 0.2023 0.8620 1
O1 O 0.0209 0.1131 0.1208 1
O2 O 0.0356 0.2504 0.8831 1
O3 O 0.0426 0.4297 0.5953 1
O4 O 0.0741 0.2769 0.4589 1
O5 O 0.0803 0.3693 0.0606 1
O6 O 0.1162 0.0831 0.5231 1
O7 O 0.1219 0.1117 0.7725 1
O8 O 0.1453 0.1502 0.3239 1
O9 O 0.1772 0.4809 0.4691 1
O10 O 0.1797 0.1574 0.9771 1
O11 O 0.1856 0.4823 0.1879 1
O12 O 0.1963 0.2981 0.8182 1
```

Properties
Energy with MP2020 corrections in eV/atom: -7.767
Total moment in μB per formula unit: 7.00
Calculated total energy in eV/atom: -7.2824
Calculated formation energy in eV per atom: -2.3238